(1)
{
  "formula": "HfCoAs",
  "functional": "PBE",
  "state": "optimized geometry",
  "cell": [[3.824, 0.000, 0.000], [0.000, 6.472, 0.000], [0.000, 0.000, 7.259]],
  "species": ["Hf", "Hf", "Hf", "Hf", "Co", "Co", "Co", "Co", "As", "As", "As", "As"],
  "fractional_positions": [[0.250, 0.520, 0.187], [0.750, 0.480, 0.813], [0.250, 0.020, 0.313], [0.750, 0.980, 0.687], [0.250, 0.639, 0.564], [0.750, 0.361, 0.436], [0.250, 0.139, 0.936], [0.750, 0.861, 0.064], [0.750, 0.732, 0.384], [0.250, 0.268, 0.616], [0.750, 0.232, 0.116], [0.250, 0.768, 0.884]],
  "formation_energy_ev_per_atom": -0.816,
  "space_group": "Pnma (62)",
  "final_energy_ev_per_atom": -8.06
}

(2)
{
  "formula": "KCo2As2",
  "functional": "PBE",
  "state": "optimized geometry",
  "cell": [[-1.899, 1.899, 6.828], [1.899, -1.899, 6.828], [1.899, 1.899, -6.828]],
  "species": ["K", "Co", "Co", "As", "As"],
  "fractional_positions": [[0.000, 0.000, 0.000], [0.750, 0.250, 0.500], [0.250, 0.750, 0.500], [0.347, 0.347, 0.000], [0.653, 0.653, 0.000]],
  "formation_energy_ev_per_atom": -0.405,
  "space_group": "I4/mmm (139)",
  "final_energy_ev_per_atom": -5.33
}

(3)
{
  "formula": "MgCo2As2S2",
  "functional": "PBE",
  "state": "optimized geometry",
  "cell": [[-0.756, 2.757, -1.608], [-1.953, -2.763, -3.822], [-5.246, 1.113, 4.380]],
  "species": ["Mg", "Co", "Co", "As", "As", "S", "S"],
  "fractional_positions": [[0.750, 0.606, 0.876], [0.750, 0.724, 0.470], [0.250, 0.135, 0.052], [0.250, 0.983, 0.351], [0.750, 0.061, 0.782], [0.750, 0.433, 0.169], [0.250, 0.475, 0.573]],
  "formation_energy_ev_per_atom": -0.461,
  "e_above_lowest_polymorph_kj_per_mol_atoms": 5.5,
  "space_group": "Pm (6)",
  "final_energy_ev_per_atom": -5.09
}

(4)
{
  "formula": "MgCo2As2S2",
  "functional": "PBE",
  "state": "optimized geometry",
  "cell": [[3.488, 0.001, 0.000], [-0.001, 4.954, -0.629], [0.000, -0.707, 6.631]],
  "species": ["Mg", "Co", "Co", "As", "As", "S", "S"],
  "fractional_positions": [[0.250, 0.653, 0.949], [0.750, 0.785, 0.489], [0.250, 0.184, 0.053], [0.250, 0.046, 0.378], [0.750, 0.044, 0.830], [0.750, 0.498, 0.168], [0.250, 0.526, 0.573]],
  "formation_energy_ev_per_atom": -0.518,
  "e_above_lowest_polymorph_kj_per_mol_atoms": 0.0,
  "space_group": "Pm (6)",
  "final_energy_ev_per_atom": -5.15
}

(5)
{
  "formula": "Mn3CoAs2",
  "functional": "PBE",
  "state": "optimized geometry",
  "cell": [[3.689, 0.000, 0.000], [0.000, 3.689, 0.000], [0.000, 0.000, 6.137]],
  "species": ["Mn", "Mn", "Mn", "Co", "As", "As"],
  "fractional_positions": [[0.000, 0.000, 0.000], [0.500, 0.000, 0.676], [0.000, 0.500, 0.324], [0.500, 0.500, 0.000], [0.500, 0.000, 0.267], [0.000, 0.500, 0.733]],
  "formation_energy_ev_per_atom": -0.160,
  "space_group": "P-4m2 (115)",
  "final_energy_ev_per_atom": -7.48
}

(6)
{
  "formula": "Mn2CoAs",
  "functional": "PBE",
  "state": "optimized geometry",
  "cell": [[0.000, 2.871, 2.871], [2.871, 0.000, 2.871], [2.871, 2.871, 0.000]],
  "species": ["Mn", "Mn", "Co", "As"],
  "fractional_positions": [[0.000, 0.000, 0.000], [0.250, 0.250, 0.250], [0.500, 0.500, 0.500], [0.750, 0.750, 0.750]],
  "formation_energy_ev_per_atom": -0.081,
  "space_group": "F-43m (216)",
  "final_energy_ev_per_atom": -7.60
}

(7)
{
  "formula": "Mn3Co2As3Rh",
  "functional": "PBE",
  "state": "optimized geometry",
  "cell": [[2.615, -1.053, -2.285], [3.785, 4.320, 2.341], [3.612, -1.487, 4.819]],
  "species": ["Mn", "Mn", "Mn", "Co", "Co", "As", "As", "As", "Rh"],
  "fractional_positions": [[0.500, 0.594, 0.406], [0.500, 0.412, 0.001], [0.500, 0.999, 0.588], [0.000, 0.742, 0.003], [0.000, 0.997, 0.258], [0.500, 0.983, 0.017], [0.000, 0.337, 0.320], [0.000, 0.680, 0.663], [0.000, 0.256, 0.744]],
  "formation_energy_ev_per_atom": -0.286,
  "space_group": "Amm2 (38)",
  "final_energy_ev_per_atom": -7.29
}

(8)
{
  "formula": "Mn3CoAs3Rh2",
  "functional": "PBE",
  "state": "optimized geometry",
  "cell": [[1.651, -2.998, -1.278], [5.009, 1.110, 3.867], [0.200, -2.425, 5.947]],
  "species": ["Mn", "Mn", "Mn", "Co", "As", "As", "As", "Rh", "Rh"],
  "fractional_positions": [[0.500, 0.587, 0.413], [0.500, 0.406, 0.998], [0.500, 0.002, 0.594], [0.000, 0.260, 0.740], [0.000, 0.329, 0.348], [0.000, 0.652, 0.671], [0.500, 0.019, 0.981], [0.000, 0.741, 0.997], [0.000, 0.003, 0.259]],
  "formation_energy_ev_per_atom": -0.316,
  "space_group": "Amm2 (38)",
  "final_energy_ev_per_atom": -7.35
}

(9)
{
  "formula": "CoNiAs",
  "functional": "PBE",
  "state": "optimized geometry",
  "cell": [[1.955, 4.454, -3.675], [-3.457, -4.497, -2.233], [-2.800, 1.806, 0.699]],
  "species": ["Co", "Co", "Co", "Ni", "Ni", "Ni", "As", "As", "As"],
  "fractional_positions": [[0.391, 0.391, 0.500], [0.609, 0.000, 0.500], [0.000, 0.609, 0.500], [0.738, 0.738, 0.000], [0.262, 0.000, 0.000], [0.000, 0.262, 0.000], [0.667, 0.333, 0.000], [0.333, 0.667, 0.000], [0.000, 0.000, 0.500]],
  "formation_energy_ev_per_atom": -0.171,
  "space_group": "P-62m (189)",
  "final_energy_ev_per_atom": -6.02
}

(10)
{
  "formula": "CoNiAs4",
  "functional": "PBE",
  "state": "optimized geometry",
  "cell": [[0.000, 0.000, 3.346], [4.954, 0.003, 0.000], [0.004, 5.858, 0.000]],
  "species": ["Co", "Ni", "As", "As", "As", "As"],
  "fractional_positions": [[0.500, 0.500, 0.500], [0.000, 0.000, 0.000], [0.500, 0.692, 0.138], [0.500, 0.308, 0.862], [0.000, 0.199, 0.369], [0.000, 0.801, 0.631]],
  "formation_energy_ev_per_atom": -0.282,
  "space_group": "P2/m (10)",
  "final_energy_ev_per_atom": -5.54
}

(11)
{
  "formula": "CoNiAs2",
  "functional": "PBE",
  "state": "optimized geometry",
  "cell": [[1.805, -3.127, 0.000], [1.805, 3.127, 0.000], [0.000, 0.000, 5.007]],
  "species": ["Co", "Ni", "As", "As"],
  "fractional_positions": [[0.000, 0.000, 0.500], [0.000, 0.000, 0.000], [0.667, 0.333, 0.260], [0.333, 0.667, 0.740]],
  "formation_energy_ev_per_atom": -0.271,
  "space_group": "P-3m1 (164)",
  "final_energy_ev_per_atom": -5.82
}

(12)
{
  "formula": "PrCo2As2",
  "functional": "PBE",
  "state": "optimized geometry",
  "cell": [[-2.029, 2.029, 5.209], [2.029, -2.029, 5.209], [2.029, 2.029, -5.209]],
  "species": ["Pr", "Co", "Co", "As", "As"],
  "fractional_positions": [[0.000, 0.000, 0.000], [0.750, 0.250, 0.500], [0.250, 0.750, 0.500], [0.363, 0.363, 0.000], [0.637, 0.637, 0.000]],
  "formation_energy_ev_per_atom": -0.726,
  "space_group": "I4/mmm (139)",
  "final_energy_ev_per_atom": -6.39
}